Entry w
# K2In3AgSe6

A geometry-optimized K2In3AgSe6 structure (PBE, the Materials Project database).

## Properties
- Calculated density: 4.36 g/cm3

Cell lengths 11.8594, 11.8891, 21.9300 Å; angles 90.00, 97.91, 90.00 degrees
Space group C2/c (No. 15)
One atom of each set of equivalent atoms:
1 K 0.0710 0.1782 0.0823 (multiplicity 8)
2 K 0.1561 0.4482 0.4176 (multiplicity 8)
3 In 0.0000 0.0596 0.2500 (multiplicity 4)
4 In 0.0000 0.4321 0.7500 (multiplicity 4)
5 In 0.0347 0.1863 0.8875 (multiplicity 8)
6 In 0.2146 0.4372 0.6131 (multiplicity 8)
7 Ag 0.2466 0.1868 0.7499 (multiplicity 8)
8 Se 0.0626 0.3210 0.5401 (multiplicity 8)
9 Se 0.0969 0.4316 0.1771 (multiplicity 8)
10 Se 0.1143 0.0523 0.6754 (multiplicity 8)
11 Se 0.1349 0.1946 0.3234 (multiplicity 8)
12 Se 0.1521 0.3205 0.8247 (multiplicity 8)
13 Se 0.1696 0.0526 0.9600 (multiplicity 8)


Entry x
# K2In3AgSe6

A geometry-optimized K2In3AgSe6 structure (PBE, the Materials Project database).

## Properties
- Calculated density: 4.36 g/cm3

Cell lengths 11.9155, 11.8882, 21.8088 Å; angles 90.00, 98.02, 90.00 degrees
Space group C2/c (No. 15)
One atom of each set of equivalent atoms:
1 K 0.0712 0.1785 0.0827 (multiplicity 8)
2 K 0.1561 0.4487 0.4172 (multiplicity 8)
3 In 0.0351 0.1852 0.8881 (multiplicity 8)
4 In 0.2141 0.4367 0.6124 (multiplicity 8)
5 In 0.2465 0.1866 0.7500 (multiplicity 8)
6 Ag 0.0000 0.0626 0.2500 (multiplicity 4)
7 Ag 0.0000 0.4352 0.7500 (multiplicity 4)
8 Se 0.0491 0.3331 0.5404 (multiplicity 8)
9 Se 0.1007 0.4261 0.1754 (multiplicity 8)
10 Se 0.1172 0.0541 0.6748 (multiplicity 8)
11 Se 0.1397 0.2003 0.3248 (multiplicity 8)
12 Se 0.1546 0.3175 0.8254 (multiplicity 8)
13 Se 0.1568 0.0385 0.9599 (multiplicity 8)


Relative to the most stable one, in kJ/mol of atoms, the structures come out at entry w 0.8; entry x 0.0.


Entry w
# Pr2InAg

A geometry-optimized Pr2InAg structure (PBE, the Materials Project database).

## Properties
- Calculated density: 7.25 g/cm3

Cell lengths 7.7302, 7.7302, 7.7302 Å; angles 90.00, 90.00, 90.00 degrees
Space group Fm-3m (No. 225)
One atom of each set of equivalent atoms:
1 Pr 0.2500 0.2500 0.2500 (multiplicity 8)
2 In 0.0000 0.0000 0.0000 (multiplicity 4)
3 Ag 0.0000 0.0000 0.5000 (multiplicity 4)


Entry x
# Pr2InAg

A geometry-optimized Pr2InAg structure (PBE, the Materials Project database).

## Properties
- Calculated density: 7.33 g/cm3

Cell lengths 3.8124, 3.8124, 7.8681 Å; angles 90.00, 90.00, 90.00 degrees
Space group P4/mmm (No. 123)
One atom of each set of equivalent atoms:
1 Pr 0.0000 0.0000 0.2419 (multiplicity 2)
2 In 0.5000 0.5000 0.5000 (multiplicity 1)
3 Ag 0.5000 0.5000 0.0000 (multiplicity 1)


Relative to the most stable one, in kJ/mol of atoms, the structures come out at entry w 0.7; entry x 0.0.